#w
Crystalline Ti2CoO5 at its relaxed geometry, computed with GGA+U.

a = 5.255 Å, b = 7.467 Å, c = 10.207 Å
α = 90.00°, β = 90.00°, γ = 69.81°
Fractional coordinates of all 32 atoms:
Ti: 0.300 0.433 0.432
O: 0.069 0.023 0.112
Ti: 0.800 0.933 0.432
O: 0.931 0.977 0.612
O: 0.822 0.607 0.750
Ti: 0.700 0.567 0.932
O: 0.069 0.023 0.388
O: 0.569 0.523 0.112
O: 0.971 0.657 0.061
Ti: 0.700 0.567 0.568
O: 0.471 0.157 0.439
O: 0.931 0.977 0.888
Ti: 0.200 0.067 0.932
Co: 0.715 0.905 0.750
O: 0.529 0.843 0.561
Ti: 0.300 0.433 0.068
O: 0.471 0.157 0.061
Co: 0.785 0.595 0.250
O: 0.431 0.477 0.612
O: 0.678 0.893 0.250
O: 0.431 0.477 0.888
O: 0.569 0.523 0.388
Ti: 0.200 0.067 0.568
O: 0.178 0.393 0.250
O: 0.529 0.843 0.939
O: 0.322 0.107 0.750
O: 0.029 0.343 0.939
Co: 0.285 0.095 0.250
O: 0.029 0.343 0.561
Ti: 0.800 0.933 0.068
O: 0.971 0.657 0.439
Co: 0.215 0.405 0.750

---

#x
Crystalline Ti2CoO5 at its relaxed geometry, computed with GGA+U.

## Properties
**SG**: No. 1
**M_tot**: 3.00 μB/f.u.
**Crystal system**: triclinic

a = 5.253 Å, b = 10.195 Å, c = 10.608 Å
α = 89.77°, β = 83.38°, γ = 89.86°
Fractional coordinates of all 48 atoms:
Ti: 0.000 0.000 0.000
Ti: 0.000 0.368 0.001
Ti: 0.228 0.885 0.242
Ti: 0.230 0.501 0.242
Ti: 0.339 0.367 0.670
Ti: 0.347 0.001 0.665
Ti: 0.557 0.868 0.909
Ti: 0.560 0.508 0.909
Ti: 0.683 0.362 0.337
Ti: 0.765 0.689 0.350
Ti: 0.894 0.879 0.576
Ti: 0.895 0.499 0.578
Co: 0.099 0.686 0.017
Co: 0.137 0.188 0.223
Co: 0.428 0.686 0.682
Co: 0.465 0.187 0.896
Co: 0.683 0.001 0.334
Co: 0.795 0.187 0.559
O: 0.032 0.325 0.612
O: 0.042 0.049 0.605
O: 0.053 0.680 0.220
O: 0.137 0.189 0.025
O: 0.190 0.550 0.632
O: 0.192 0.826 0.636
O: 0.257 0.383 0.852
O: 0.268 0.994 0.851
O: 0.313 0.505 0.063
O: 0.313 0.863 0.060
O: 0.354 0.044 0.272
O: 0.371 0.329 0.276
O: 0.424 0.685 0.879
O: 0.468 0.190 0.699
O: 0.530 0.808 0.303
O: 0.531 0.556 0.302
O: 0.585 0.375 0.518
O: 0.600 0.004 0.525
O: 0.639 0.498 0.724
O: 0.642 0.869 0.724
O: 0.696 0.326 0.947
O: 0.699 0.047 0.942
O: 0.738 0.685 0.536
O: 0.824 0.198 0.360
O: 0.865 0.549 0.963
O: 0.865 0.824 0.962
O: 0.929 0.383 0.183
O: 0.933 0.990 0.176
O: 0.965 0.500 0.392
O: 0.976 0.860 0.393

---

#w comes first in stability; the runner-up is 0.018 eV/atom higher.

---

#w
Crystalline V5CoO23 at its relaxed geometry, computed with GGA+U.

## Properties
**SG**: No. 2
**M_tot**: 6.00 μB/f.u.
**Crystal system**: triclinic

a = 8.632 Å, b = 10.546 Å, c = 10.857 Å
α = 69.02°, β = 71.99°, γ = 71.66°
Fractional coordinates of all 58 atoms:
V: 0.120 0.204 0.044
V: 0.143 0.275 0.300
V: 0.151 0.456 0.749
V: 0.179 0.511 0.014
V: 0.207 0.747 0.728
V: 0.793 0.253 0.272
V: 0.821 0.489 0.986
V: 0.849 0.544 0.251
V: 0.857 0.725 0.700
V: 0.880 0.796 0.956
Co: 0.278 0.724 0.294
Co: 0.722 0.276 0.706
O: 0.007 0.447 0.342
O: 0.013 0.651 0.092
O: 0.021 0.587 0.878
O: 0.045 0.797 0.630
O: 0.066 0.851 0.845
O: 0.111 0.657 0.374
O: 0.143 0.882 0.327
O: 0.215 0.088 0.963
O: 0.229 0.167 0.175
O: 0.235 0.796 0.091
O: 0.237 0.364 0.929
O: 0.255 0.200 0.412
O: 0.257 0.148 0.696
O: 0.268 0.323 0.675
O: 0.270 0.413 0.150
O: 0.286 0.570 0.682
O: 0.300 0.622 0.894
O: 0.346 0.836 0.634
O: 0.366 0.850 0.035
O: 0.379 0.701 0.412
O: 0.395 0.076 0.668
O: 0.411 0.587 0.235
O: 0.444 0.840 0.125
O: 0.556 0.160 0.875
O: 0.589 0.413 0.765
O: 0.605 0.924 0.332
O: 0.621 0.299 0.588
O: 0.634 0.150 0.965
O: 0.654 0.164 0.366
O: 0.700 0.378 0.106
O: 0.714 0.430 0.318
O: 0.730 0.587 0.850
O: 0.732 0.677 0.325
O: 0.743 0.852 0.304
O: 0.745 0.800 0.588
O: 0.763 0.636 0.071
O: 0.765 0.204 0.909
O: 0.771 0.833 0.825
O: 0.785 0.912 0.037
O: 0.857 0.118 0.673
O: 0.889 0.343 0.626
O: 0.934 0.149 0.155
O: 0.955 0.203 0.370
O: 0.979 0.413 0.122
O: 0.987 0.349 0.908
O: 0.993 0.553 0.658

---

#x
Crystalline V5CoO23 at its relaxed geometry, computed with GGA+U.

## Properties
**SG**: No. 2
**M_tot**: 12.00 μB/f.u.
**Crystal system**: triclinic

a = 8.858 Å, b = 10.675 Å, c = 10.809 Å
α = 66.19°, β = 74.51°, γ = 70.50°
Fractional coordinates of all 58 atoms:
V: 0.119 0.200 0.053
V: 0.139 0.269 0.317
V: 0.151 0.451 0.749
V: 0.177 0.505 0.022
V: 0.201 0.746 0.727
V: 0.799 0.254 0.273
V: 0.823 0.495 0.978
V: 0.849 0.549 0.251
V: 0.861 0.731 0.683
V: 0.881 0.800 0.947
Co: 0.278 0.743 0.281
Co: 0.722 0.257 0.719
O: 0.009 0.438 0.350
O: 0.015 0.647 0.094
O: 0.018 0.587 0.880
O: 0.041 0.804 0.622
O: 0.063 0.848 0.840
O: 0.113 0.663 0.364
O: 0.142 0.872 0.348
O: 0.177 0.777 0.141
O: 0.215 0.073 0.991
O: 0.216 0.164 0.194
O: 0.230 0.361 0.938
O: 0.241 0.110 0.739
O: 0.250 0.186 0.436
O: 0.259 0.330 0.674
O: 0.266 0.401 0.166
O: 0.274 0.570 0.688
O: 0.292 0.614 0.903
O: 0.334 0.833 0.635
O: 0.382 0.694 0.416
O: 0.396 0.046 0.731
O: 0.401 0.623 0.192
O: 0.431 0.917 0.804
O: 0.438 0.823 0.184
O: 0.562 0.177 0.816
O: 0.569 0.083 0.196
O: 0.599 0.377 0.808
O: 0.604 0.954 0.269
O: 0.618 0.306 0.584
O: 0.666 0.167 0.365
O: 0.708 0.386 0.097
O: 0.726 0.430 0.312
O: 0.734 0.599 0.834
O: 0.741 0.670 0.326
O: 0.750 0.814 0.564
O: 0.759 0.890 0.261
O: 0.770 0.639 0.062
O: 0.784 0.836 0.806
O: 0.785 0.927 0.009
O: 0.823 0.223 0.859
O: 0.858 0.128 0.652
O: 0.887 0.337 0.636
O: 0.937 0.152 0.160
O: 0.959 0.196 0.378
O: 0.982 0.413 0.120
O: 0.985 0.353 0.906
O: 0.991 0.562 0.650

---

#w comes first in stability; the runner-up is 0.115 eV/atom higher.

---

#w
Crystalline CoW2O8 at its relaxed geometry, computed with GGA+U.

## Properties
**SG**: No. 13
**M_tot**: 3.00 μB/f.u.
**Crystal system**: monoclinic

a = 5.012 Å, b = 5.870 Å, c = 10.266 Å
α = 90.00°, β = 116.02°, γ = 90.00°
Fractional coordinates of all 22 atoms:
Co: 0.000 0.157 0.250
Co: 0.000 0.843 0.750
W: 0.232 0.330 0.991
W: 0.232 0.670 0.491
W: 0.768 0.330 0.509
W: 0.768 0.670 0.009
O: 0.168 0.392 0.613
O: 0.168 0.608 0.113
O: 0.206 0.160 0.144
O: 0.206 0.840 0.644
O: 0.253 0.095 0.882
O: 0.253 0.905 0.382
O: 0.322 0.395 0.393
O: 0.322 0.605 0.893
O: 0.678 0.395 0.107
O: 0.678 0.605 0.607
O: 0.747 0.095 0.618
O: 0.747 0.905 0.118
O: 0.794 0.160 0.356
O: 0.794 0.840 0.856
O: 0.832 0.392 0.887
O: 0.832 0.608 0.387

---

#x
Crystalline CoW2O8 at its relaxed geometry, computed with GGA+U.

## Properties
**SG**: No. 2
**M_tot**: 5.00 μB/f.u.
**Crystal system**: triclinic

a = 5.091 Å, b = 5.534 Å, c = 5.800 Å
α = 107.81°, β = 90.41°, γ = 116.99°
Fractional coordinates of all 11 atoms:
Co: 0.000 0.000 0.000
W: 0.254 0.491 0.666
W: 0.746 0.509 0.334
O: 0.019 0.246 0.823
O: 0.028 0.711 0.676
O: 0.446 0.227 0.075
O: 0.456 0.276 0.539
O: 0.544 0.724 0.461
O: 0.554 0.773 0.925
O: 0.972 0.289 0.324
O: 0.981 0.754 0.177

---

#x comes first in stability; the runner-up is 0.009 eV/atom higher.